# 1
Compound: CaAsPd
Source: the Materials Project
Functional: meta-GGA r2SCAN
Structure: optimized geometry

Structure (POSCAR):
```
CaAsPd
1.0
-3.375 4.621 -4.304
-6.904 -5.242 -0.214
-6.332 7.796 13.334
Ca As Pd
16 16 16
direct
0.748 0.521 0.939
0.252 0.021 0.061
0.248 0.521 0.561
0.734 0.508 0.688
0.234 0.508 0.812
0.252 0.479 0.061
0.266 0.492 0.312
0.766 0.492 0.188
0.766 0.008 0.188
0.734 0.992 0.688
0.248 0.979 0.561
0.752 0.479 0.439
0.748 0.979 0.939
0.234 0.992 0.812
0.752 0.021 0.439
0.266 0.008 0.312
0.051 0.750 0.678
0.577 0.750 0.571
0.141 0.750 0.433
0.641 0.750 0.067
0.071 0.750 0.210
0.423 0.250 0.429
0.949 0.250 0.322
0.923 0.250 0.071
0.449 0.250 0.178
0.859 0.250 0.567
0.571 0.750 0.290
0.551 0.750 0.822
0.359 0.250 0.933
0.077 0.750 0.929
0.429 0.250 0.710
0.929 0.250 0.790
0.906 0.750 0.539
0.608 0.250 0.308
0.516 0.250 0.571
0.406 0.750 0.961
0.392 0.750 0.692
0.016 0.250 0.929
0.094 0.250 0.461
0.394 0.750 0.167
0.106 0.250 0.667
0.894 0.750 0.333
0.892 0.750 0.808
0.484 0.750 0.429
0.606 0.250 0.833
0.594 0.250 0.039
0.108 0.250 0.192
0.984 0.750 0.071
```

## Properties
magnetic moment: 0.0 μB/f.u.
crystal system: orthorhombic
formation energy from the elements: -1.0515 eV/atom
energy: -15.95 eV per atom
symmetry: No. 62



# 2
Compound: ErSnPt2
Source: the Materials Project
Functional: meta-GGA r2SCAN
Structure: optimized geometry

Structure (POSCAR):
```
ErSnPt2
1.0
4.510 0.000 0.000
-2.255 3.906 0.000
0.000 0.000 9.011
Pt Sn Er
4 2 2
direct
0.333 0.667 0.589
0.667 0.333 0.411
0.667 0.333 0.089
0.333 0.667 0.911
0.000 0.000 0.500
0.000 0.000 0.000
0.333 0.667 0.250
0.667 0.333 0.750
```

## Properties
magnetic moment: 0.0 μB/f.u.
crystal system: hexagonal
formation energy from the elements: -1.1095 eV/atom
energy: -41.52 eV per atom
symmetry: No. 194



# 3
Compound: Ta3SBr7
Source: the Materials Project
Functional: meta-GGA r2SCAN
Structure: optimized geometry

Structure (POSCAR):
```
Ta3SBr7
1.0
6.215 0.000 3.484
3.079 6.171 1.793
-0.107 0.002 7.476
Ta Br S
3 7 1
direct
0.647 0.320 0.386
0.246 0.720 0.387
0.646 0.720 0.387
0.217 0.415 0.646
0.122 0.585 0.171
0.122 0.090 0.170
0.617 0.090 0.170
0.722 0.415 0.646
0.742 0.918 0.598
0.217 0.919 0.647
0.644 0.590 0.122
```

## Properties
magnetic moment: 0.0 μB/f.u.
crystal system: monoclinic
formation energy from the elements: -1.0927 eV/atom
energy: -23.51 eV per atom
symmetry: No. 8



Look up the energy of the second one.
-41.52 eV per atom



Among the records above, which one has the highest formation energy from the elements?
CaAsPd